Here is crystalline Nd2MgCu2 at its relaxed geometry from Materials Project. Energies are from r2SCAN.

abc: 7.8114 7.8114 3.8057
angles: 90.00 90.00 90.00
With the nearest neighbours (Å) after each atom.
Fractional coordinates of all 10 atoms:
Nd 0.1703 0.3297 0.0000  6 Cu 2.99
Nd 0.3297 0.8297 0.0000  6 Cu 2.99
Nd 0.6703 0.1703 0.0000  6 Cu 2.99
Nd 0.8297 0.6703 0.0000  6 Cu 2.99
Mg 0.0000 0.0000 0.5000  4 Cu 3.11, 8 Nd 3.47
Mg 0.5000 0.5000 0.5000  4 Cu 3.11, 8 Nd 3.47
Cu 0.1210 0.6210 0.5000  1 Cu 2.67, 6 Nd 2.99
Cu 0.3790 0.1210 0.5000  1 Cu 2.67, 6 Nd 2.99
Cu 0.6210 0.8790 0.5000  1 Cu 2.67, 6 Nd 2.99
Cu 0.8790 0.3790 0.5000  1 Cu 2.67, 6 Nd 2.99

Calculated formation energy (eV/atom): -0.185
Space-group type: P4/mbm (127)
Calculated volume (Å³/atom): 23.22
Total DFT energy (no corrections) (eV/atom): -17.12

Here is crystalline NdMg2Cu9 at its relaxed geometry from Materials Project. Energies are from r2SCAN.

abc: 5.0048 5.0048 16.0460
angles: 90.00 90.00 120.00
With the nearest neighbours (Å) after each atom.
Fractional coordinates of all 24 atoms:
Nd 0.3333 0.6667 0.2500  18 Cu 2.89-3.23
Nd 0.6667 0.3333 0.7500  18 Cu 2.89-3.23
Mg 0.3333 0.6667 0.0310  12 Cu 2.85-2.93, 3 Mg 3.06
Mg 0.3333 0.6667 0.4690  12 Cu 2.85-2.93, 3 Mg 3.06
Mg 0.6667 0.3333 0.5310  12 Cu 2.85-2.93, 3 Mg 3.06
Mg 0.6667 0.3333 0.9690  12 Cu 2.85-2.93, 3 Mg 3.06
Cu 0.0000 0.0000 0.0000  6 Cu 2.45
Cu 0.0000 0.0000 0.2500  6 Cu 2.51
Cu 0.0000 0.0000 0.5000  6 Cu 2.45
Cu 0.0000 0.0000 0.7500  6 Cu 2.51
Cu 0.1680 0.3359 0.6226  7 Cu 2.45-2.52
Cu 0.1680 0.3359 0.8774  7 Cu 2.45-2.52
Cu 0.1680 0.8320 0.6226  7 Cu 2.45-2.52
Cu 0.1680 0.8320 0.8774  7 Cu 2.45-2.52
Cu 0.3333 0.6667 0.7500  6 Cu 2.50
Cu 0.3359 0.1680 0.1226  7 Cu 2.45-2.52
Cu 0.3359 0.1680 0.3774  7 Cu 2.45-2.52
Cu 0.6641 0.8320 0.6226  7 Cu 2.45-2.52
Cu 0.6641 0.8320 0.8774  7 Cu 2.45-2.52
Cu 0.6667 0.3333 0.2500  6 Cu 2.50
Cu 0.8320 0.1680 0.1226  7 Cu 2.45-2.52
Cu 0.8320 0.1680 0.3774  7 Cu 2.45-2.52
Cu 0.8320 0.6641 0.1226  7 Cu 2.45-2.52
Cu 0.8320 0.6641 0.3774  7 Cu 2.45-2.52

Calculated formation energy (eV/atom): -0.155
Space-group type: P6_3/mmc (194)
Calculated volume (Å³/atom): 14.50
Total DFT energy (no corrections) (eV/atom): -11.44

Here is crystalline Mg4CuNi at its relaxed geometry from Materials Project. Energies are from r2SCAN.

abc: 5.1654 5.1654 13.3589
angles: 90.00 90.00 120.00
With the nearest neighbours (Å) after each atom.
Fractional coordinates of all 18 atoms:
Mg 0.0000 0.5000 0.0520  2 Cu 2.67, 2 Ni 2.67, 2 Mg 2.93
Mg 0.0000 0.5000 0.2814  2 Ni 2.67, 2 Cu 2.67, 2 Mg 2.93
Mg 0.1613 0.3226 0.5000  2 Ni 2.65, 2 Cu 2.69, 1 Mg 2.89
Mg 0.1613 0.8387 0.8333  2 Ni 2.65, 2 Cu 2.69, 1 Mg 2.89
Mg 0.3226 0.1613 0.1667  2 Ni 2.65, 2 Cu 2.69, 1 Mg 2.89
Mg 0.5000 0.0000 0.3853  2 Cu 2.67, 2 Ni 2.67, 2 Mg 2.93
Mg 0.5000 0.0000 0.6147  2 Cu 2.67, 2 Ni 2.67, 2 Mg 2.93
Mg 0.5000 0.5000 0.7186  2 Cu 2.67, 2 Ni 2.67, 2 Mg 2.93
Mg 0.5000 0.5000 0.9480  2 Ni 2.67, 2 Cu 2.67, 2 Mg 2.93
Mg 0.6774 0.8387 0.1667  2 Ni 2.65, 2 Cu 2.69, 1 Mg 2.89
Mg 0.8387 0.1613 0.8333  2 Ni 2.65, 2 Cu 2.69, 1 Mg 2.89
Mg 0.8387 0.6774 0.5000  2 Ni 2.65, 2 Cu 2.69, 1 Mg 2.89
Cu 0.0000 0.5000 0.6667  2 Ni 2.58, 8 Mg 2.67-2.69
Cu 0.5000 0.0000 0.0000  2 Ni 2.58, 8 Mg 2.67-2.69
Cu 0.5000 0.5000 0.3333  2 Ni 2.58, 8 Mg 2.67-2.69
Ni 0.0000 0.0000 0.0000  2 Cu 2.58, 8 Mg 2.65-2.67
Ni 0.0000 0.0000 0.3333  2 Cu 2.58, 8 Mg 2.65-2.67
Ni 0.0000 0.0000 0.6667  2 Cu 2.58, 8 Mg 2.65-2.67

Calculated formation energy (eV/atom): -0.108
Space-group type: P6_222 (180)
Calculated volume (Å³/atom): 17.15
Total DFT energy (no corrections) (eV/atom): -6.69

Here is crystalline MgCu2O4 at its relaxed geometry from Materials Project. Energies are from r2SCAN.

abc: 6.5750 6.5750 6.5750
angles: 131.34 131.34 71.27
With the nearest neighbours (Å) after each atom.
Fractional coordinates of all 14 atoms:
Mg 0.3750 0.6250 0.7500  4 O 1.98
Mg 0.6250 0.3750 0.2500  4 O 1.98
Cu 0.0000 0.0000 0.0000  4 O 1.83
Cu 0.0000 0.0000 0.5000  4 O 1.83
Cu 0.0000 0.5000 0.0000  4 O 1.83
Cu 0.5000 0.0000 0.5000  4 O 1.83
O 0.2234 0.7473 0.4762  2 Cu 1.83, 1 Mg 1.98
O 0.2289 0.2527 0.9762  2 Cu 1.83, 1 Mg 1.98
O 0.2527 0.2289 0.4762  2 Cu 1.83, 1 Mg 1.98
O 0.2527 0.7766 0.0238  2 Cu 1.83, 1 Mg 1.98
O 0.7473 0.2234 0.9762  2 Cu 1.83, 1 Mg 1.98
O 0.7473 0.7711 0.5238  2 Cu 1.83, 1 Mg 1.98
O 0.7711 0.7473 0.0238  2 Cu 1.83, 1 Mg 1.98
O 0.7766 0.2527 0.5238  2 Cu 1.83, 1 Mg 1.98

Calculated formation energy (eV/atom): -1.270
Space-group type: I4_1/amd (141)
Calculated volume (Å³/atom): 11.20
Energy above the most stable polymorph in this dataset (kcal/mol of atoms): 0.86
Total DFT energy (no corrections) (eV/atom): -8.38

Here is crystalline MgCu2O4 at its relaxed geometry from Materials Project. Energies are from r2SCAN.

abc: 3.0432 9.8367 9.0674
angles: 90.00 90.00 90.00
With the nearest neighbours (Å) after each atom.
Fractional coordinates of all 28 atoms:
Mg 0.1241 0.1508 0.2500  6 O 2.09-2.23
Mg 0.1241 0.3492 0.7500  6 O 2.09-2.23
Mg 0.8759 0.6508 0.2500  6 O 2.09-2.23
Mg 0.8759 0.8492 0.7500  6 O 2.09-2.23
Cu 0.3469 0.6151 0.5698  4 O 1.82-1.84
Cu 0.3469 0.6151 0.9302  4 O 1.82-1.84
Cu 0.3469 0.8849 0.0698  4 O 1.82-1.84
Cu 0.3469 0.8849 0.4302  4 O 1.82-1.84
Cu 0.6531 0.1151 0.5698  4 O 1.82-1.84
Cu 0.6531 0.1151 0.9302  4 O 1.82-1.84
Cu 0.6531 0.3849 0.0698  4 O 1.82-1.84
Cu 0.6531 0.3849 0.4302  4 O 1.82-1.84
O 0.0074 0.2500 0.0000  2 Cu 1.82
O 0.0074 0.2500 0.5000  2 Cu 1.82
O 0.3652 0.5440 0.1169  2 Cu 1.83-1.84
O 0.3652 0.5440 0.3831  2 Cu 1.83-1.84
O 0.3652 0.9560 0.6169  2 Cu 1.83-1.84
O 0.3652 0.9560 0.8831  2 Cu 1.83-1.84
O 0.3711 0.7013 0.7500  2 Cu 1.84
O 0.3711 0.7987 0.2500  2 Cu 1.84
O 0.6289 0.2013 0.7500  2 Cu 1.84
O 0.6289 0.2987 0.2500  2 Cu 1.84
O 0.6348 0.0440 0.1169  2 Cu 1.83-1.84
O 0.6348 0.0440 0.3831  2 Cu 1.83-1.84
O 0.6348 0.4560 0.6169  2 Cu 1.83-1.84
O 0.6348 0.4560 0.8831  2 Cu 1.83-1.84
O 0.9926 0.7500 0.0000  2 Cu 1.82
O 0.9926 0.7500 0.5000  2 Cu 1.82

Calculated formation energy (eV/atom): -1.307
Space-group type: Pbcm (57)
Calculated volume (Å³/atom): 9.69
Energy above the most stable polymorph in this dataset (kcal/mol of atoms): 0.00
Total DFT energy (no corrections) (eV/atom): -8.41

Here is crystalline Mg2Cu3Si at its relaxed geometry from Materials Project. Energies are from r2SCAN.

abc: 4.9718 4.9718 7.8049
angles: 90.00 90.00 120.00
With the nearest neighbours (Å) after each atom.
Fractional coordinates of all 12 atoms:
Mg 0.3333 0.6667 0.0613  9 Cu 2.81-2.89, 3 Si 2.91, 4 Mg 2.94-3.03
Mg 0.3333 0.6667 0.4387  9 Cu 2.81-2.89, 3 Si 2.91, 4 Mg 2.94-3.03
Mg 0.6667 0.3333 0.5613  9 Cu 2.81-2.89, 3 Si 2.91, 4 Mg 2.94-3.03
Mg 0.6667 0.3333 0.9387  9 Cu 2.81-2.89, 3 Si 2.91, 4 Mg 2.94-3.03
Cu 0.1686 0.3371 0.7500  2 Si 2.43, 4 Cu 2.46-2.51
Cu 0.1686 0.8314 0.7500  2 Si 2.43, 4 Cu 2.46-2.51
Cu 0.3371 0.1686 0.2500  2 Si 2.43, 4 Cu 2.46-2.51
Cu 0.6629 0.8314 0.7500  2 Si 2.43, 4 Cu 2.46-2.51
Cu 0.8314 0.1686 0.2500  2 Si 2.43, 4 Cu 2.46-2.51
Cu 0.8314 0.6629 0.2500  2 Si 2.43, 4 Cu 2.46-2.51
Si 0.0000 0.0000 0.0000  6 Cu 2.43
Si 0.0000 0.0000 0.5000  6 Cu 2.43

Calculated formation energy (eV/atom): -0.243
Space-group type: P6_3/mmc (194)
Calculated volume (Å³/atom): 13.92
Total DFT energy (no corrections) (eV/atom): -8.52

Here is crystalline Sm2MgCu2 at its relaxed geometry from Materials Project. Energies are from r2SCAN.

abc: 7.7235 7.7235 3.7609
angles: 90.00 90.00 90.00
With the nearest neighbours (Å) after each atom.
Fractional coordinates of all 10 atoms:
Sm 0.1700 0.3300 0.0000  6 Cu 2.95-2.96
Sm 0.3300 0.8300 0.0000  6 Cu 2.95-2.96
Sm 0.6700 0.1700 0.0000  6 Cu 2.95-2.96
Sm 0.8300 0.6700 0.0000  6 Cu 2.95-2.96
Mg 0.0000 0.0000 0.5000  4 Cu 3.07, 8 Sm 3.43
Mg 0.5000 0.5000 0.5000  4 Cu 3.07, 8 Sm 3.43
Cu 0.1214 0.6214 0.5000  1 Cu 2.65, 6 Sm 2.95-2.96
Cu 0.3786 0.1214 0.5000  1 Cu 2.65, 6 Sm 2.95-2.96
Cu 0.6214 0.8786 0.5000  1 Cu 2.65, 6 Sm 2.95-2.96
Cu 0.8786 0.3786 0.5000  1 Cu 2.65, 6 Sm 2.95-2.96

Calculated formation energy (eV/atom): -0.209
Space-group type: P4/mbm (127)
Calculated volume (Å³/atom): 22.43
Total DFT energy (no corrections) (eV/atom): -17.27

Here is crystalline SmMg2Cu9 at its relaxed geometry from Materials Project. Energies are from r2SCAN.

abc: 4.9829 4.9829 16.0541
angles: 90.00 90.00 120.00
With the nearest neighbours (Å) after each atom.
Fractional coordinates of all 24 atoms:
Sm 0.3333 0.6667 0.2500  18 Cu 2.88-3.22
Sm 0.6667 0.3333 0.7500  18 Cu 2.88-3.22
Mg 0.3333 0.6667 0.0320  12 Cu 2.87-2.92, 3 Mg 3.06
Mg 0.3333 0.6667 0.4680  12 Cu 2.87-2.92, 3 Mg 3.06
Mg 0.6667 0.3333 0.5320  12 Cu 2.87-2.92, 3 Mg 3.06
Mg 0.6667 0.3333 0.9680  12 Cu 2.87-2.92, 3 Mg 3.06
Cu 0.0000 0.0000 0.0000  6 Cu 2.45
Cu 0.0000 0.0000 0.2500  6 Cu 2.50
Cu 0.0000 0.0000 0.5000  6 Cu 2.45
Cu 0.0000 0.0000 0.7500  6 Cu 2.50
Cu 0.1677 0.3353 0.6232  7 Cu 2.45-2.51
Cu 0.1677 0.3353 0.8768  7 Cu 2.45-2.51
Cu 0.1677 0.8323 0.6232  7 Cu 2.45-2.51
Cu 0.1677 0.8323 0.8768  7 Cu 2.45-2.51
Cu 0.3333 0.6667 0.7500  6 Cu 2.49
Cu 0.3353 0.1677 0.1232  7 Cu 2.45-2.51
Cu 0.3353 0.1677 0.3768  7 Cu 2.45-2.51
Cu 0.6647 0.8323 0.6232  7 Cu 2.45-2.51
Cu 0.6647 0.8323 0.8768  7 Cu 2.45-2.51
Cu 0.6667 0.3333 0.2500  6 Cu 2.49
Cu 0.8323 0.1677 0.1232  7 Cu 2.45-2.51
Cu 0.8323 0.1677 0.3768  7 Cu 2.45-2.51
Cu 0.8323 0.6647 0.1232  7 Cu 2.45-2.51
Cu 0.8323 0.6647 0.3768  7 Cu 2.45-2.51

Calculated formation energy (eV/atom): -0.162
Space-group type: P6_3/mmc (194)
Calculated volume (Å³/atom): 14.38
Total DFT energy (no corrections) (eV/atom): -11.47